A relaxed structure of Zr2N2O, computed with PBE-GGA.

Output
SG ... P1, No. 1
Uncorrected energy ... -9.795 eV per atom
ΔH_f (0 K) ... -10.9 eV/f.u.
V ... 13.5 Å³/atom

Unit cell a=8.864 b=8.876 c=8.876 alpha=109.36 beta=109.40 gamma=109.56
Sites, in units of the cell vectors:
O  0.037  0.549  0.273
Zr  0.259  0.037  0.297
O  0.040  0.772  0.028
Zr  0.471  0.211  0.753
N  0.507  0.274  0.543
N  0.741  0.517  0.470
Zr  0.298  0.755  0.539
Zr  0.497  0.498  0.499
N  0.545  0.010  0.775
Zr  0.785  0.749  0.042
Zr  0.243  0.531  0.781
O  0.277  0.266  0.228
N  0.731  0.469  0.956
N  0.451  0.982  0.224
O  0.228  0.770  0.765
Zr  0.744  0.464  0.210
N  0.968  0.454  0.728
Zr  0.754  0.968  0.715
N  0.759  0.732  0.273
N  0.955  0.229  0.969
Zr  0.998  0.988  0.490
N  0.992  0.034  0.260
O  0.776  0.051  0.518
N  0.493  0.730  0.458
O  0.726  0.737  0.774
Zr  0.526  0.779  0.248
O  0.236  0.272  0.727
Zr  0.961  0.713  0.743
N  0.260  0.487  0.534
Zr  0.997  0.488  0.991
O  0.534  0.759  0.980
N  0.224  0.950  0.487
Zr  0.031  0.282  0.253
Zr  0.509  0.018  0.013
N  0.773  0.231  0.238
N  0.274  0.532  0.042
N  0.463  0.238  0.012
Zr  0.713  0.258  0.466
Zr  0.212  0.249  0.962
N  0.011  0.964  0.737

---

A relaxed structure of ScSn, computed with PBE-GGA.

Output
SG ... F-43m, No. 216
Uncorrected energy ... -4.758 eV per atom
Size of the total moment ... 1.0 μB per cell
ΔH_f (0 K) ... 0.8 eV/f.u.
V ... 37.4 Å³/atom

Unit cell a=4.729 b=4.729 c=4.729 alpha=60.00 beta=60.00 gamma=60.00
Sites, in units of the cell vectors:
Sc  0.000  0.000  0.000
Sn  0.250  0.250  0.250

---

> ΔH_f (0 K) of number 1 (Zr2N2O)?

-10.9 eV/f.u.